No. 1
Computed, not measured: a geometry-optimized H14Pb6C8O13 structure at the PBE level of DFT.

Properties
Total energy   -5.88 eV per atom
E (MP2020)   -499.6 eV for the cell shown
ρ   4.56 g/cm3
Magnetization   0.00 μB per atom

Lattice parameters (Å, degrees): 7.4299 11.9304 14.1878 113.08 99.79 90.07
Closest atoms and distances in Å follow each position.
Space group P-1 (No. 2)
Unique sites:
H1 0.0462 0.1761 0.1441 [2 per cell]  1 C 1.10
H2 0.0778 0.6901 0.8338 [2 per cell]  1 C 1.10
H3 0.0991 0.7358 0.1362 [2 per cell]  1 C 1.10
H4 0.1018 0.3424 0.8565 [2 per cell]  1 C 1.10
H5 0.1200 0.6052 0.1667 [2 per cell]  1 C 1.10
H6 0.1293 0.0324 0.9764 [2 per cell]  1 C 1.10
H7 0.1659 0.3203 0.1791 [2 per cell]  1 C 1.10
H8 0.2059 0.9500 0.1546 [2 per cell]  1 O 0.99
H9 0.2197 0.1669 0.9716 [2 per cell]  1 C 1.10
H10 0.3437 0.5699 0.9799 [2 per cell]  1 C 1.10
H11 0.3620 0.0445 0.9618 [2 per cell]  1 C 1.10
H12 0.3634 0.7039 0.9572 [2 per cell]  1 C 1.10
H13 0.4172 0.9743 0.1574 [2 per cell]  1 O 0.98
H14 0.4339 0.3636 0.0102 [2 per cell]  1 C 1.10
Pb1 0.1570 0.9136 0.5800 [2 per cell]  3 O 2.27-2.45
Pb2 0.1639 0.4109 0.5847 [2 per cell]  3 O 2.25-2.45
Pb3 0.3601 0.0926 0.4316 [2 per cell]  4 O 2.42
Pb4 0.3653 0.5892 0.4213 [2 per cell]  4 O 2.38-2.51
Pb5 0.4240 0.7233 0.7050 [2 per cell]  2 O 2.23-2.25
Pb6 0.4418 0.2226 0.7158 [2 per cell]  2 O 2.26-2.28
C1 0.0429 0.6865 0.1772 [2 per cell]  3 H 1.10
C2 0.0491 0.2746 0.1914 [2 per cell]  3 H 1.10
C3 0.0687 0.7694 0.2918 [2 per cell]  2 O 1.28
C4 0.0697 0.2920 0.3042 [2 per cell]  2 O 1.28-1.29
C5 0.1595 0.0162 0.8228 [2 per cell]  2 O 1.26-1.30
C6 0.2224 0.0669 0.9401 [2 per cell]  3 H 1.10
C7 0.4189 0.5383 0.8315 [2 per cell]  2 O 1.26-1.29
C8 0.4249 0.6169 0.9465 [2 per cell]  3 H 1.10
O1 0.0089 0.9965 0.2158 [2 per cell]  1 C 1.26
O2 0.0710 0.1966 0.6650 [2 per cell]  1 C 1.28
O3 0.0740 0.7034 0.6553 [2 per cell]  1 C 1.29
O4 0.2303 0.3019 0.3574 [2 per cell]  1 C 1.28
O5 0.2328 0.8025 0.3437 [2 per cell]  1 C 1.28
O6 0.2570 0.5072 0.7745 [2 per cell]  1 C 1.29
O7 0.2863 0.9887 0.7665 [2 per cell]  1 C 1.30
O8 0.3136 0.9132 0.1247 [2 per cell]  2 H 0.98-0.99
O9 0.3841 0.5351 0.5767 [2 per cell]  4 Pb 2.25-2.51
O10 0.3856 0.7851 0.5739 [2 per cell]  4 Pb 2.23-2.47
O11 0.3891 0.0380 0.5806 [2 per cell]  4 Pb 2.26-2.42
O12 0.3887 0.2845 0.5815 [2 per cell]  4 Pb 2.25-2.42
O13 0.4331 0.4914 0.2016 [2 per cell]  1 C 1.26



No. 2
Computed, not measured: a geometry-optimized H2PbC2O4 structure at the PBE level of DFT.

Properties
Total energy   -6.41 eV per atom
E (MP2020)   -241.7 eV for the cell shown
ρ   4.26 g/cm3
Magnetization   0.00 μB per atom

Lattice parameters (Å, degrees): 6.6876 7.7426 8.9475 90.00 90.00 90.00
Closest atoms and distances in Å follow each position.
Space group P2_12_12_1 (No. 19)
Unique sites:
H1 0.0069 0.0312 0.2246 [4 per cell]  1 C 1.11
H2 0.2397 0.2879 0.9914 [4 per cell]  1 C 1.11
Pb1 0.0706 0.7550 0.8320 [4 per cell]  4 O 2.44-2.70
C1 0.0794 0.6128 0.1967 [4 per cell]  1 H 1.11
C2 0.2463 0.1446 0.9940 [4 per cell]  1 H 1.11
O1 0.0125 0.2312 0.3733 [4 per cell]  1 C 1.27
O2 0.1466 0.0673 0.8937 [4 per cell]  1 C 1.27
O3 0.1490 0.9259 0.5961 [4 per cell]  1 C 1.27
O4 0.2359 0.4255 0.6838 [4 per cell]  1 C 1.28



No. 3
Computed, not measured: a geometry-optimized H4PbC2O6 structure at the PBE level of DFT.

Properties
Total energy   -6.14 eV per atom
E (MP2020)   -335.7 eV for the cell shown
ρ   3.67 g/cm3
Magnetization   0.00 μB per atom

Lattice parameters (Å, degrees): 9.3378 7.8496 8.1766 90.00 90.00 90.00
Closest atoms and distances in Å follow each position.
Space group Pnma (No. 62)
Unique sites:
H1 0.0864 0.1511 0.1873 [8 per cell]  1 O 0.98
H2 0.1788 0.6510 0.9483 [8 per cell]  1 O 0.98
Pb1 0.1049 0.7500 0.5221 [4 per cell]  4 O 2.48-2.55
C1 0.1431 0.1509 0.7602 [8 per cell]  2 O 1.27
O1 0.0615 0.0757 0.6592 [8 per cell]  1 C 1.27
O2 0.1323 0.7500 0.9993 [4 per cell]  2 H 0.98
O3 0.1366 0.2500 0.2322 [4 per cell]  2 H 0.98
O4 0.2231 0.0759 0.8629 [8 per cell]  1 C 1.27